First-principles (PBE) data for As2PHBr3F11 after structural relaxation, as listed in Materials Project.

Values from the calculation:
Its total energy after the MP2020 corrections is -4.35 eV per atom. The space group is No. 11.

Cell: 9.0642 6.4073 12.2521 Å, 85.28 90.00 90.00°
Sites, in units of the cell vectors:
F: 0.2500 0.0230 0.0323
Br: 0.5568 0.6506 0.7959
F: 0.6140 0.9817 0.3792
F: 0.3856 0.3990 0.5765
F: 0.9435 0.8596 0.1106
F: 0.4435 0.1404 0.8894
F: 0.2500 0.1662 0.4460
Br: 0.9432 0.6506 0.7959
F: 0.1144 0.3990 0.5765
F: 0.0565 0.1404 0.8894
P: 0.2500 0.5406 0.1921
F: 0.3860 0.0183 0.6208
As: 0.2500 0.1343 0.8965
F: 0.7500 0.1141 0.1554
F: 0.2500 0.2610 0.7508
F: 0.7500 0.6081 0.0624
Br: 0.2500 0.7563 0.3162
F: 0.8856 0.6010 0.4235
H: 0.7500 0.3398 0.9106
Br: 0.4432 0.3494 0.2041
F: 0.7500 0.7390 0.2492
As: 0.7500 0.7944 0.4147
F: 0.7500 0.9770 0.9677
F: 0.2500 0.3919 0.9376
Br: 0.0568 0.3494 0.2041
F: 0.2500 0.8859 0.8446
F: 0.8860 0.9817 0.3792
H: 0.2500 0.6602 0.0894
Br: 0.7500 0.2437 0.6838
As: 0.7500 0.8657 0.1035
F: 0.7500 0.8338 0.5540
P: 0.7500 0.4594 0.8079
As: 0.2500 0.2056 0.5853
F: 0.5565 0.8596 0.1106
F: 0.1140 0.0183 0.6208
F: 0.6145 0.6010 0.4235